Entry 1:
An optimized crystal structure of NbMo3C4, computed with PBE-GGA. Values from VASP.

Geometry as Quantum ESPRESSO input:
```
&SYSTEM
  ibrav = 0, nat = 8, ntyp = 3
/
ATOMIC_SPECIES
Nb 92.91 Nb.upf
Mo 95.94 Mo.upf
C 12.01 C.upf
ATOMIC_POSITIONS angstrom
Nb 0.000 0.000 0.000
Mo 0.000 0.000 7.752
Mo 0.000 0.000 15.479
Mo 0.000 0.000 23.205
C 0.000 0.000 3.883
C 0.000 0.000 11.647
C 0.000 0.000 19.310
C 0.000 0.000 27.074
CELL_PARAMETERS angstrom
1.555 0.898 10.319
-1.555 0.898 10.319
0.000 -1.795 10.319
```

Results
Volume (Å³ per atom): 10.80
DFT formation energy (eV per atom): 0.07
Spin magnetization (μB/f.u.): 0.00
Total DFT energy (no corrections) (Ha/atom): -0.3629
SG: R-3m (166)



Entry 2:
An optimized crystal structure of NbMoC2, computed with PBE-GGA. Values from VASP.

Geometry as Quantum ESPRESSO input:
```
&SYSTEM
  ibrav = 0, nat = 4, ntyp = 3
/
ATOMIC_SPECIES
Nb 92.91 Nb.upf
Mo 95.94 Mo.upf
C 12.01 C.upf
ATOMIC_POSITIONS angstrom
Nb 0.000 0.000 0.000
Mo 0.000 0.000 7.642
C 0.000 0.000 3.796
C 0.000 0.000 11.489
CELL_PARAMETERS angstrom
1.576 0.910 5.095
-1.576 0.910 5.095
0.000 -1.820 5.095
```

Results
Volume (Å³ per atom): 10.96
DFT formation energy (eV per atom): -0.12
Spin magnetization (μB/f.u.): 0.00
Total DFT energy (no corrections) (Ha/atom): -0.3664
SG: R-3m (166)



Entry 3:
An optimized crystal structure of Nb2Mo2C3, computed with PBE-GGA. Values from VASP.

Geometry as Quantum ESPRESSO input:
```
&SYSTEM
  ibrav = 0, nat = 7, ntyp = 3
/
ATOMIC_SPECIES
Nb 92.91 Nb.upf
Mo 95.94 Mo.upf
C 12.01 C.upf
ATOMIC_POSITIONS angstrom
Nb 0.000 0.000 3.698
Nb 0.000 0.000 26.475
Mo 0.000 0.000 11.376
Mo 0.000 0.000 18.796
C 0.000 0.000 0.000
C 0.000 0.000 7.498
C 0.000 0.000 22.674
CELL_PARAMETERS angstrom
1.568 0.905 10.057
-1.568 0.905 10.057
0.000 -1.810 10.057
```

Results
Volume (Å³ per atom): 12.23
DFT formation energy (eV per atom): -0.10
Spin magnetization (μB/f.u.): 0.00
Total DFT energy (no corrections) (Ha/atom): -0.3688
SG: R-3m (166)



Entry 4:
An optimized crystal structure of Nd2MoC2, computed with PBE-GGA. Values from VASP.

Geometry as Quantum ESPRESSO input:
```
&SYSTEM
  ibrav = 0, nat = 20, ntyp = 3
/
ATOMIC_SPECIES
Nd 144.24 Nd.upf
Mo 95.94 Mo.upf
C 12.01 C.upf
ATOMIC_POSITIONS angstrom
Nd 1.157 1.157 1.620
Nd 1.157 1.157 8.766
Nd 1.763 4.078 3.573
Nd 1.763 4.078 6.812
Nd 4.078 1.763 3.573
Nd 4.078 1.763 6.812
Nd 4.684 4.684 1.620
Nd 4.684 4.684 8.766
Mo 1.028 1.028 5.193
Mo 1.893 3.948 0.000
Mo 3.948 1.893 0.000
Mo 4.814 4.814 5.193
C 0.000 0.000 3.697
C 0.000 0.000 6.689
C 0.000 2.921 0.000
C 0.000 2.921 5.193
C 2.921 0.000 0.000
C 2.921 0.000 5.193
C 2.921 2.921 1.496
C 2.921 2.921 8.889
CELL_PARAMETERS angstrom
5.841 0.000 0.000
0.000 5.841 0.000
0.000 0.000 10.385
```

Results
Volume (Å³ per atom): 17.72
DFT formation energy (eV per atom): -0.19
Total DFT energy (no corrections) (Ha/atom): -0.2923
SG: P4_2/mnm (136)



Entry 5:
An optimized crystal structure of Ni3Mo3C, computed with PBE-GGA. Values from VASP.

Geometry as Quantum ESPRESSO input:
```
&SYSTEM
  ibrav = 0, nat = 28, ntyp = 3
/
ATOMIC_SPECIES
Ni 58.69 Ni.upf
Mo 95.94 Mo.upf
C 12.01 C.upf
ATOMIC_POSITIONS angstrom
Ni 0.000 0.000 0.000
Ni 2.767 2.767 0.000
Ni 2.767 0.000 2.767
Ni 8.762 5.072 5.072
Ni 2.305 2.305 2.305
Ni 5.995 5.995 2.305
Ni 5.995 2.305 5.995
Ni 0.000 2.767 2.767
Ni 5.072 8.762 5.072
Ni 5.072 5.072 8.762
Ni 8.762 8.762 8.762
Ni 2.305 5.995 5.995
Mo 4.150 4.150 1.904
Mo 4.150 1.904 4.150
Mo 6.397 4.150 4.150
Mo 6.917 6.917 4.671
Mo 6.917 4.671 6.917
Mo 9.163 6.917 6.917
Mo 1.904 4.150 4.150
Mo 4.150 6.397 4.150
Mo 4.150 4.150 6.397
Mo 4.671 6.917 6.917
Mo 6.917 9.163 6.917
Mo 6.917 6.917 9.163
C 5.534 2.767 2.767
C 2.767 5.534 2.767
C 2.767 2.767 5.534
C 5.534 5.534 5.534
CELL_PARAMETERS angstrom
0.000 5.534 5.534
5.534 0.000 5.534
5.534 5.534 0.000
```

Results
Volume (Å³ per atom): 12.10
DFT formation energy (eV per atom): -0.06
Spin magnetization (μB/f.u.): 0.00
Total DFT energy (no corrections) (Ha/atom): -0.3124
SG: Fd-3m (227)



Entry 6:
An optimized crystal structure of Ni6Mo6C, computed with PBE-GGA. Values from VASP.

Geometry as Quantum ESPRESSO input:
```
&SYSTEM
  ibrav = 0, nat = 26, ntyp = 3
/
ATOMIC_SPECIES
Ni 58.69 Ni.upf
Mo 95.94 Mo.upf
C 12.01 C.upf
ATOMIC_POSITIONS angstrom
Ni 0.000 0.000 0.000
Ni 2.728 2.728 0.000
Ni 2.728 0.000 2.728
Ni 8.635 5.003 5.003
Ni 2.275 2.275 2.275
Ni 5.908 5.908 2.275
Ni 5.908 2.275 5.908
Ni 0.000 2.728 2.728
Ni 5.003 8.635 5.003
Ni 5.003 5.003 8.635
Ni 8.635 8.635 8.635
Ni 2.275 5.908 5.908
Mo 4.092 4.092 1.930
Mo 4.092 1.930 4.092
Mo 6.253 4.092 4.092
Mo 6.819 6.819 4.658
Mo 6.819 4.658 6.819
Mo 8.980 6.819 6.819
Mo 1.930 4.092 4.092
Mo 4.092 6.253 4.092
Mo 4.092 4.092 6.253
Mo 4.658 6.819 6.819
Mo 6.819 8.980 6.819
Mo 6.819 6.819 8.980
C 4.092 4.092 4.092
C 6.819 6.819 6.819
CELL_PARAMETERS angstrom
0.000 5.455 5.455
5.455 0.000 5.455
5.455 5.455 0.000
```

Results
Volume (Å³ per atom): 12.49
DFT formation energy (eV per atom): -0.09
Total DFT energy (no corrections) (Ha/atom): -0.3115
SG: Fd-3m (227)